Material: Nb2Al3Ir
Method: DFT, PBE-GGA
State: optimized geometry

Summary:
calculated formation energy: -0.6278 eV/atom

Unit cell a=5.2179 b=5.2179 c=8.0102 alpha=90.00 beta=90.00 gamma=120.00
Fractional positions:
1 Nb 0.3333 0.6667 0.0736
2 Nb 0.3333 0.6667 0.4264
3 Nb 0.6667 0.3333 0.5736
4 Nb 0.6667 0.3333 0.9264
5 Al 0.1697 0.3394 0.7500
6 Al 0.1697 0.8303 0.7500
7 Al 0.3394 0.1697 0.2500
8 Al 0.6606 0.8303 0.7500
9 Al 0.8303 0.1697 0.2500
10 Al 0.8303 0.6606 0.2500
11 Ir 0.0000 0.0000 0.0000
12 Ir 0.0000 0.0000 0.5000

---

Material: Al2Cu
Method: DFT, PBE-GGA
State: optimized geometry

Summary:
calculated formation energy: -0.0236 eV/atom
total moment: 0.00 μB per cell

Unit cell a=4.1052 b=4.1052 c=2.8913 alpha=90.00 beta=90.00 gamma=90.00
Fractional positions:
1 Al 0.0000 0.5000 0.0000
2 Al 0.5000 0.0000 0.0000
3 Cu 0.0000 0.0000 0.5000

---

Material: U3Sb4
Method: DFT, PBE-GGA
State: optimized geometry

Summary:
calculated formation energy: -0.3803 eV/atom

Unit cell a=7.8828 b=7.8828 c=7.8828 alpha=109.47 beta=109.47 gamma=109.47
Fractional positions:
1 U 0.1250 0.8750 0.2500
2 U 0.2500 0.1250 0.8750
3 U 0.3750 0.6250 0.7500
4 U 0.6250 0.7500 0.3750
5 U 0.7500 0.3750 0.6250
6 U 0.8750 0.2500 0.1250
7 Sb 0.0000 0.1592 0.5000
8 Sb 0.0000 0.6592 0.5000
9 Sb 0.1592 0.5000 0.0000
10 Sb 0.3408 0.3408 0.3408
11 Sb 0.5000 0.0000 0.1592
12 Sb 0.5000 0.0000 0.6592
13 Sb 0.6592 0.5000 0.0000
14 Sb 0.8408 0.8408 0.8408

---

Material: Na6Mg2Zr2Si3S3O24
Method: DFT, PBE-GGA
State: optimized geometry

Summary:
calculated formation energy: -2.6718 eV/atom
total moment: 0.00 μB per cell

Unit cell a=9.1145 b=9.1205 c=22.7311 alpha=89.34 beta=89.92 gamma=60.48
Fractional positions:
1 Na 0.0000 0.0000 0.0000
2 Na 0.0031 0.6153 0.5025
3 Na 0.2905 0.9887 0.4948
4 Na 0.3084 0.6689 0.4117
5 Na 0.3166 0.6637 0.9168
6 Na 0.3322 0.3294 0.3375
7 Na 0.3366 0.0010 0.1747
8 Na 0.6083 0.6887 0.3297
9 Na 0.6325 0.3297 0.8495
10 Na 0.6547 0.9770 0.7614
11 Na 0.6596 0.9797 0.2491
12 Na 0.6789 0.6018 0.0032
13 Na 0.6937 0.6649 0.6725
14 Na 0.9310 0.6690 0.1641
15 Na 0.9544 0.0009 0.6843
16 Na 0.9642 0.3377 0.0792
17 Na 0.9744 0.3434 0.5869
18 Na 0.9849 0.6924 0.8393
19 Mg 0.3012 0.6757 0.7800
20 Mg 0.3084 0.6805 0.2766
21 Mg 0.6629 0.9702 0.6073
22 Mg 0.6626 0.9746 0.1023
23 Mg 0.9674 0.3282 0.9417
24 Mg 0.9794 0.3306 0.4368
25 Zr 0.3214 0.6465 0.5728
26 Zr 0.3358 0.6351 0.0674
27 Zr 0.6532 0.9707 0.4012
28 Zr 0.6666 0.9834 0.9064
29 Zr 0.9772 0.3318 0.2402
30 Zr 0.9824 0.3351 0.7444
31 Si 0.0216 0.6554 0.6751
32 Si 0.2694 0.0287 0.3447
33 Si 0.6108 0.6606 0.1765
34 Si 0.6571 0.2733 0.0084
35 Si 0.6568 0.6814 0.5102
36 Si 0.6757 0.6235 0.8419
37 Si 0.9526 0.6822 0.0106
38 Si 0.9903 0.0273 0.8426
39 Si 0.9976 0.6143 0.3427
40 S 0.0253 0.9475 0.1742
41 S 0.2794 0.3204 0.8421
42 S 0.3196 0.9479 0.6724
43 S 0.3222 0.3588 0.1766
44 S 0.3569 0.9933 0.0096
45 S 0.3648 0.2765 0.5088
46 S 0.6111 0.3557 0.6747
47 S 0.6921 0.3208 0.3424
48 S 0.9413 0.9941 0.5097
49 O 0.0084 0.1206 0.8989
50 O 0.0164 0.1158 0.1808
51 O 0.0192 0.5070 0.4021
52 O 0.1080 0.8381 0.2259
53 O 0.1146 0.8327 0.5131
54 O 0.1199 0.6787 0.7295
55 O 0.1283 0.8726 0.1204
56 O 0.1300 0.6922 0.0157
57 O 0.1344 0.6345 0.6137
58 O 0.1386 0.8321 0.8376
59 O 0.1606 0.1128 0.6759
60 O 0.1611 0.3445 0.1794
61 O 0.1668 0.1174 0.4035
62 O 0.1683 0.6211 0.3311
63 O 0.1727 0.3438 0.8927
64 O 0.1831 0.1482 0.2849
65 O 0.1877 0.1371 0.0020
66 O 0.1947 0.2917 0.5061
67 O 0.1986 0.2970 0.7869
68 O 0.2907 0.4701 0.1241
69 O 0.2952 0.8652 0.6179
70 O 0.2992 0.4707 0.8333
71 O 0.3178 0.8342 0.3391
72 O 0.3378 0.4542 0.5128
73 O 0.3392 0.4379 0.2300
74 O 0.3397 0.8347 0.0134
75 O 0.3488 0.8374 0.7233
76 O 0.4347 0.0090 0.0642
77 O 0.4488 0.1679 0.8446
78 O 0.4559 0.1730 0.5600
79 O 0.4595 0.0268 0.3462
80 O 0.4612 0.2063 0.4536
81 O 0.4644 0.1881 0.1695
82 O 0.4684 0.9619 0.9580
83 O 0.4681 0.9707 0.6644
84 O 0.4722 0.6820 0.5132
85 O 0.4910 0.4717 0.0101
86 O 0.4995 0.6799 0.2343
87 O 0.5031 0.6210 0.8288
88 O 0.5150 0.4332 0.7272
89 O 0.5166 0.6392 0.1176
90 O 0.5228 0.4690 0.3350
91 O 0.5281 0.4700 0.6216
92 O 0.6210 0.8102 0.4514
93 O 0.6222 0.1982 0.9467
94 O 0.6315 0.8301 0.1711
95 O 0.6337 0.1861 0.6645
96 O 0.6666 0.8093 0.8440
97 O 0.6710 0.1693 0.3488
98 O 0.6730 0.1574 0.0637
99 O 0.6784 0.7754 0.5664
100 O 0.7690 0.5062 0.8978
101 O 0.7738 0.3458 0.3938
102 O 0.7845 0.3420 0.6758
103 O 0.7962 0.2927 0.2885
104 O 0.8051 0.4905 0.1785
105 O 0.8059 0.0234 0.8421
106 O 0.8064 0.5374 0.7819
107 O 0.8200 0.8021 0.3457
108 O 0.8233 0.2951 0.0045
109 O 0.8245 0.4998 0.5019
110 O 0.8339 0.8259 0.6699
111 O 0.8370 0.7639 0.0681
112 O 0.8451 0.0113 0.5634
113 O 0.8549 0.9673 0.1697
114 O 0.8590 0.9680 0.4577
115 O 0.8621 0.8106 0.9516
116 O 0.9505 0.5285 0.2858
117 O 0.9622 0.1418 0.7797
118 O 0.9733 0.1361 0.5034
119 O 0.9736 0.4993 0.9999
120 O 0.9954 0.4859 0.6748

---

Question: Which of these has the lowest calculated formation energy?
Answer: Na6Mg2Zr2Si3S3O24